Compound: NbO
Source: the Materials Project database
Functional: PBE-GGA
Structure: relaxed

Cell lengths 3.190, 3.190, 3.190 Å; angles 60.00, 60.00, 60.00 degrees
Sites, in units of the cell vectors:
1 Nb 0.000 0.000 0.000
2 O 0.500 0.500 0.500

Results
* formation energy from the elements: -1.499 eV/atom
* DFT total energy: -17.4 eV for the cell shown